A plane-wave DFT calculation with PBE was carried out for a geometry-optimized K4P3NO13 structure.

Calculated formation energy   -3241 kJ/mol of formula units
Calculated volume   18.261 Å³/atom
E_tot   -5.94 eV/atom

The structure in POSCAR format:
```
K4P3NO13
1.0
6.167 0.000 0.000
-2.572 9.782 0.000
-0.279 -1.472 12.714
K P N O
8 6 2 26
direct
0.118 0.217 0.211
0.135 0.243 0.891
0.136 0.349 0.481
0.371 0.689 0.319
0.629 0.311 0.681
0.864 0.651 0.519
0.865 0.757 0.109
0.882 0.783 0.789
0.204 0.521 0.745
0.326 0.676 0.959
0.399 0.751 0.617
0.601 0.249 0.383
0.674 0.324 0.041
0.796 0.479 0.255
0.306 0.618 0.078
0.694 0.382 0.922
0.023 0.459 0.283
0.037 0.921 0.319
0.089 0.075 0.608
0.159 0.763 0.957
0.238 0.380 0.712
0.239 0.835 0.656
0.245 0.539 0.876
0.312 0.652 0.517
0.352 0.177 0.380
0.405 0.640 0.713
0.406 0.983 0.132
0.426 0.258 0.048
0.438 0.048 0.821
0.562 0.952 0.179
0.574 0.742 0.952
0.594 0.017 0.868
0.595 0.360 0.287
0.648 0.823 0.620
0.688 0.348 0.483
0.755 0.461 0.124
0.761 0.165 0.344
0.762 0.620 0.288
0.841 0.237 0.043
0.911 0.925 0.392
0.963 0.079 0.681
0.977 0.541 0.717
```